No. 1
Cr3Os | PBE | relaxed

Results
- total DFT energy (no corrections) (eV/f.u.) = -39.41

Lattice parameters (Å, degrees): 2.583 2.583 8.132 90.00 90.00 112.30
Positions (direct):
Cr (0.000, 0.000, 0.000)
Cr (0.500, 0.500, 0.236)
Cr (0.500, 0.500, 0.764)
Os (0.000, 0.000, 0.500)



No. 2
K3Ba2Pr2Bi3O15 | PBE | relaxed

Results
- total DFT energy (no corrections) (eV/f.u.) = -146.06

Lattice parameters (Å, degrees): 25.877 25.877 25.877 13.95 13.95 13.95
Positions (direct):
K (0.049, 0.049, 0.049)
K (0.349, 0.349, 0.349)
K (0.450, 0.450, 0.450)
K (0.550, 0.550, 0.550)
K (0.651, 0.651, 0.651)
K (0.951, 0.951, 0.951)
Ba (0.150, 0.150, 0.150)
Ba (0.251, 0.251, 0.251)
Ba (0.749, 0.749, 0.749)
Ba (0.850, 0.850, 0.850)
Pr (0.201, 0.201, 0.201)
Pr (0.399, 0.399, 0.399)
Pr (0.601, 0.601, 0.601)
Pr (0.799, 0.799, 0.799)
Bi (0.000, 0.000, 0.000)
Bi (0.099, 0.099, 0.099)
Bi (0.301, 0.301, 0.301)
Bi (0.500, 0.500, 0.500)
Bi (0.699, 0.699, 0.699)
Bi (0.901, 0.901, 0.901)
O (0.024, 0.562, 0.562)
O (0.042, 0.042, 0.569)
O (0.042, 0.569, 0.042)
O (0.151, 0.151, 0.650)
O (0.151, 0.650, 0.151)
O (0.158, 0.648, 0.648)
O (0.236, 0.756, 0.756)
O (0.244, 0.244, 0.764)
O (0.244, 0.764, 0.244)
O (0.350, 0.849, 0.849)
O (0.352, 0.352, 0.842)
O (0.352, 0.842, 0.352)
O (0.431, 0.958, 0.958)
O (0.438, 0.438, 0.976)
O (0.438, 0.976, 0.438)
O (0.562, 0.024, 0.562)
O (0.562, 0.562, 0.024)
O (0.569, 0.042, 0.042)
O (0.648, 0.158, 0.648)
O (0.648, 0.648, 0.158)
O (0.650, 0.151, 0.151)
O (0.756, 0.236, 0.756)
O (0.756, 0.756, 0.236)
O (0.764, 0.244, 0.244)
O (0.842, 0.352, 0.352)
O (0.849, 0.350, 0.849)
O (0.849, 0.849, 0.350)
O (0.958, 0.431, 0.958)
O (0.958, 0.958, 0.431)
O (0.976, 0.438, 0.438)



No. 3
TmZrF7 | PBE | relaxed

Results
- total DFT energy (no corrections) (eV/f.u.) = -61.33

Lattice parameters (Å, degrees): 6.052 5.665 8.230 90.00 102.22 90.00
Positions (direct):
Tm (0.154, 0.000, 0.183)
Tm (0.846, 0.500, 0.817)
Zr (0.312, 0.990, 0.723)
Zr (0.688, 0.490, 0.277)
F (0.040, 0.206, 0.714)
F (0.045, 0.307, 0.022)
F (0.119, 0.691, 0.720)
F (0.254, 0.995, 0.472)
F (0.360, 0.988, 0.977)
F (0.420, 0.268, 0.266)
F (0.455, 0.756, 0.259)
F (0.545, 0.256, 0.741)
F (0.580, 0.768, 0.734)
F (0.640, 0.488, 0.023)
F (0.746, 0.495, 0.528)
F (0.881, 0.191, 0.280)
F (0.955, 0.807, 0.978)
F (0.960, 0.706, 0.286)



No. 4
La2CuBiS5 | PBE | relaxed

Results
- total DFT energy (no corrections) (eV/f.u.) = -50.84

Lattice parameters (Å, degrees): 12.015 4.004 17.078 90.00 90.00 90.00
Positions (direct):
La (0.032, 0.250, 0.174)
La (0.126, 0.750, 0.598)
La (0.374, 0.250, 0.098)
La (0.468, 0.750, 0.674)
La (0.532, 0.250, 0.326)
La (0.626, 0.750, 0.902)
La (0.874, 0.250, 0.402)
La (0.968, 0.750, 0.826)
Cu (0.098, 0.750, 0.997)
Cu (0.402, 0.250, 0.497)
Cu (0.598, 0.750, 0.503)
Cu (0.902, 0.250, 0.003)
Bi (0.200, 0.750, 0.363)
Bi (0.300, 0.250, 0.863)
Bi (0.700, 0.750, 0.137)
Bi (0.800, 0.250, 0.637)
S (0.012, 0.250, 0.702)
S (0.085, 0.250, 0.927)
S (0.107, 0.250, 0.469)
S (0.191, 0.750, 0.113)
S (0.234, 0.750, 0.766)
S (0.266, 0.250, 0.266)
S (0.309, 0.250, 0.613)
S (0.393, 0.750, 0.969)
S (0.415, 0.750, 0.427)
S (0.488, 0.750, 0.202)
S (0.512, 0.250, 0.798)
S (0.585, 0.250, 0.573)
S (0.607, 0.250, 0.031)
S (0.691, 0.750, 0.387)
S (0.734, 0.750, 0.734)
S (0.766, 0.250, 0.234)
S (0.809, 0.250, 0.887)
S (0.893, 0.750, 0.531)
S (0.915, 0.750, 0.073)
S (0.988, 0.750, 0.298)



No. 5
Li2Sn2S3O12 | PBE | relaxed

Results
- polymorph energy (0 for the lowest one) (meV/atom) = 4

Lattice parameters (Å, degrees): 13.626 9.100 9.671 90.00 90.00 90.00
Positions (direct):
Li (0.182, 0.213, 0.223)
Li (0.182, 0.787, 0.723)
Li (0.318, 0.287, 0.723)
Li (0.318, 0.713, 0.223)
Li (0.682, 0.287, 0.777)
Li (0.682, 0.713, 0.277)
Li (0.818, 0.213, 0.277)
Li (0.818, 0.787, 0.777)
Sn (0.100, 0.250, 0.550)
Sn (0.100, 0.750, 0.050)
Sn (0.400, 0.250, 0.050)
Sn (0.400, 0.750, 0.550)
Sn (0.600, 0.250, 0.450)
Sn (0.600, 0.750, 0.950)
Sn (0.900, 0.250, 0.950)
Sn (0.900, 0.750, 0.450)
S (0.000, 0.438, 0.250)
S (0.000, 0.562, 0.750)
S (0.151, 0.103, 0.896)
S (0.151, 0.897, 0.396)
S (0.349, 0.397, 0.396)
S (0.349, 0.603, 0.896)
S (0.500, 0.062, 0.750)
S (0.500, 0.938, 0.250)
S (0.651, 0.397, 0.104)
S (0.651, 0.603, 0.604)
S (0.849, 0.103, 0.604)
S (0.849, 0.897, 0.104)
O (0.041, 0.471, 0.637)
O (0.041, 0.529, 0.137)
O (0.042, 0.129, 0.903)
O (0.042, 0.871, 0.403)
O (0.080, 0.343, 0.307)
O (0.080, 0.657, 0.807)
O (0.167, 0.057, 0.370)
O (0.167, 0.943, 0.870)
O (0.193, 0.189, 0.779)
O (0.193, 0.811, 0.279)
O (0.198, 0.147, 0.029)
O (0.198, 0.853, 0.529)
O (0.302, 0.353, 0.529)
O (0.302, 0.647, 0.029)
O (0.307, 0.311, 0.279)
O (0.307, 0.689, 0.779)
O (0.333, 0.443, 0.870)
O (0.333, 0.557, 0.370)
O (0.420, 0.157, 0.807)
O (0.420, 0.843, 0.307)
O (0.458, 0.371, 0.403)
O (0.458, 0.629, 0.903)
O (0.459, 0.029, 0.137)
O (0.459, 0.971, 0.637)
O (0.541, 0.029, 0.363)
O (0.541, 0.971, 0.863)
O (0.542, 0.371, 0.097)
O (0.542, 0.629, 0.597)
O (0.580, 0.157, 0.693)
O (0.580, 0.843, 0.193)
O (0.667, 0.443, 0.630)
O (0.667, 0.557, 0.130)
O (0.693, 0.311, 0.221)
O (0.693, 0.689, 0.721)
O (0.698, 0.353, 0.971)
O (0.698, 0.647, 0.471)
O (0.802, 0.147, 0.471)
O (0.802, 0.853, 0.971)
O (0.807, 0.189, 0.721)
O (0.807, 0.811, 0.221)
O (0.833, 0.057, 0.130)
O (0.833, 0.943, 0.630)
O (0.920, 0.343, 0.193)
O (0.920, 0.657, 0.693)
O (0.958, 0.129, 0.597)
O (0.958, 0.871, 0.097)
O (0.959, 0.471, 0.863)
O (0.959, 0.529, 0.363)



No. 6
PrAs12Ru4 | PBE | relaxed

Results
- total DFT energy (no corrections) (eV/f.u.) = -105.64

Lattice parameters (Å, degrees): 7.454 7.454 7.454 109.47 109.47 109.47
Positions (direct):
Pr (0.000, 0.000, 0.000)
As (0.150, 0.499, 0.349)
As (0.150, 0.801, 0.651)
As (0.199, 0.349, 0.850)
As (0.349, 0.150, 0.499)
As (0.349, 0.850, 0.199)
As (0.499, 0.349, 0.150)
As (0.501, 0.651, 0.850)
As (0.651, 0.150, 0.801)
As (0.651, 0.850, 0.501)
As (0.801, 0.651, 0.150)
As (0.850, 0.199, 0.349)
As (0.850, 0.501, 0.651)
Ru (0.000, 0.000, 0.500)
Ru (0.000, 0.500, 0.000)
Ru (0.500, 0.000, 0.000)
Ru (0.500, 0.500, 0.500)



No. 7
MgSnF6 | PBE | relaxed

Results
- total DFT energy (no corrections) (eV/f.u.) = -40.15

Lattice parameters (Å, degrees): 5.569 5.569 5.569 58.12 58.12 58.12
Positions (direct):
Mg (0.000, 0.000, 0.000)
Sn (0.500, 0.500, 0.500)
F (0.161, 0.748, 0.340)
F (0.252, 0.660, 0.839)
F (0.340, 0.161, 0.748)
F (0.660, 0.839, 0.252)
F (0.748, 0.340, 0.161)
F (0.839, 0.252, 0.660)



No. 8
Sr6YTl3Cu6O21 | PBE | relaxed

Results
- total DFT energy (no corrections) (eV/f.u.) = -205.41

Lattice parameters (Å, degrees): 3.678 11.032 12.741 90.00 90.00 90.00
Positions (direct):
Sr (0.000, 0.000, 0.206)
Sr (0.000, 0.000, 0.794)
Sr (0.000, 0.334, 0.207)
Sr (0.000, 0.334, 0.793)
Sr (0.000, 0.666, 0.207)
Sr (0.000, 0.666, 0.793)
Y (0.000, 0.000, 0.500)
Tl (0.500, 0.168, 0.000)
Tl (0.500, 0.500, 0.000)
Tl (0.500, 0.832, 0.000)
Cu (0.500, 0.180, 0.378)
Cu (0.500, 0.180, 0.622)
Cu (0.500, 0.500, 0.389)
Cu (0.500, 0.500, 0.611)
Cu (0.500, 0.820, 0.378)
Cu (0.500, 0.820, 0.622)
O (0.000, 0.000, 0.000)
O (0.000, 0.155, 0.371)
O (0.000, 0.155, 0.629)
O (0.000, 0.327, 0.000)
O (0.000, 0.500, 0.362)
O (0.000, 0.500, 0.638)
O (0.000, 0.673, 0.000)
O (0.000, 0.845, 0.371)
O (0.000, 0.845, 0.629)
O (0.500, 0.000, 0.388)
O (0.500, 0.000, 0.612)
O (0.500, 0.164, 0.166)
O (0.500, 0.164, 0.834)
O (0.500, 0.340, 0.347)
O (0.500, 0.340, 0.653)
O (0.500, 0.500, 0.161)
O (0.500, 0.500, 0.839)
O (0.500, 0.660, 0.347)
O (0.500, 0.660, 0.653)
O (0.500, 0.836, 0.166)
O (0.500, 0.836, 0.834)



No. 9
AlFe2Ge | PBE | relaxed

Results
- total DFT energy (no corrections) (eV/f.u.) = -26.15

Lattice parameters (Å, degrees): 4.047 4.047 4.047 60.00 60.00 60.00
Positions (direct):
Al (0.000, 0.000, 0.000)
Fe (0.250, 0.250, 0.250)
Fe (0.750, 0.750, 0.750)
Ge (0.500, 0.500, 0.500)



No. 10
Li2ZnCu3 | PBE | relaxed

Results
- total DFT energy (no corrections) (eV/f.u.) = -18.14

Lattice parameters (Å, degrees): 4.971 4.971 4.971 59.67 59.67 59.67
Positions (direct):
Li (0.125, 0.125, 0.125)
Li (0.875, 0.875, 0.875)
Zn (0.500, 0.500, 0.500)
Cu (0.000, 0.500, 0.500)
Cu (0.500, 0.000, 0.500)
Cu (0.500, 0.500, 0.000)



No. 11
CdSbS2Br | PBE | relaxed

Results
- total DFT energy (no corrections) (eV/f.u.) = -17.49

Lattice parameters (Å, degrees): 6.893 6.893 9.845 91.54 91.54 33.51
Positions (direct):
Cd (0.000, 0.000, 0.000)
Cd (0.000, 0.000, 0.500)
Sb (0.286, 0.286, 0.685)
Sb (0.714, 0.714, 0.315)
S (0.086, 0.086, 0.261)
S (0.354, 0.354, 0.450)
S (0.646, 0.646, 0.550)
S (0.914, 0.914, 0.739)
Br (0.366, 0.366, 0.076)
Br (0.634, 0.634, 0.924)



No. 12
Sr2Mg | PBE | relaxed

Results
- total DFT energy (no corrections) (eV/f.u.) = -5.04

Lattice parameters (Å, degrees): 7.544 7.544 6.097 90.00 90.00 47.69
Positions (direct):
Sr (0.104, 0.610, 0.750)
Sr (0.390, 0.896, 0.750)
Sr (0.610, 0.104, 0.250)
Sr (0.896, 0.390, 0.250)
Mg (0.265, 0.735, 0.250)
Mg (0.735, 0.265, 0.750)